Here is crystalline MgSn at its relaxed geometry from Materials Project. Energies are from GGA-PBE.

Properties
volume = 296.2 Å³/cell
final energy = -34.53 eV/cell

Cell: 11.579 3.411 7.984 Å, 90.00 110.05 90.00°
Space group Cm (No. 8)
Symmetry-distinct sites (fractional):
Mg (0.000, 0.000, 0.000)
Mg (0.065, 0.000, 0.610)
Mg (0.189, 0.500, 0.339)
Sn (0.218, 0.500, 0.951)
Sn (0.345, 0.000, 0.662)
Sn (0.411, 0.000, 0.282)